{"formula": "MgW4O12", "functional": "GGA+U", "state": "optimized geometry", "cell": [[-4.921, 2.134, -0.331], [-1.010, -1.545, 5.048], [2.784, 6.831, 2.647]], "species": ["Mg", "W", "W", "W", "W", "O", "O", "O", "O", "O", "O", "O", "O", "O", "O", "O", "O"], "frac_coords": [[0.250, 0.750, 0.500], [0.250, 0.250, 0.756], [0.750, 0.750, 0.748], [0.750, 0.750, 0.244], [0.250, 0.250, 0.252], [0.423, 0.565, 0.724], [0.942, 0.447, 0.753], [0.558, 0.053, 0.753], [0.077, 0.935, 0.724], [0.250, 0.250, 0.992], [0.750, 0.750, 0.496], [0.750, 0.750, 0.008], [0.250, 0.250, 0.504], [0.947, 0.058, 0.247], [0.435, 0.923, 0.276], [0.065, 0.577, 0.276], [0.553, 0.442, 0.247]], "magmom_total_mub_per_cell": 2.0}


{"formula": "Li2VF5", "functional": "GGA+U", "state": "optimized geometry", "cell": [[5.945, 0.000, 0.000], [0.000, 7.703, 0.000], [0.000, 0.000, 17.381]], "species": ["Li", "Li", "Li", "Li", "Li", "Li", "Li", "Li", "Li", "Li", "Li", "Li", "Li", "Li", "Li", "Li", "V", "V", "V", "V", "V", "V", "V", "V", "F", "F", "F", "F", "F", "F", "F", "F", "F", "F", "F", "F", "F", "F", "F", "F", "F", "F", "F", "F", "F", "F", "F", "F", "F", "F", "F", "F", "F", "F", "F", "F", "F", "F", "F", "F", "F", "F", "F", "F"], "frac_coords": [[0.487, 0.265, 0.472], [0.487, 0.765, 0.028], [0.250, 0.909, 0.647], [0.250, 0.409, 0.853], [0.250, 0.875, 0.188], [0.250, 0.375, 0.312], [0.013, 0.265, 0.472], [0.013, 0.765, 0.028], [0.987, 0.735, 0.528], [0.987, 0.235, 0.972], [0.750, 0.091, 0.353], [0.750, 0.625, 0.688], [0.750, 0.125, 0.812], [0.750, 0.591, 0.147], [0.513, 0.735, 0.528], [0.513, 0.235, 0.972], [0.250, 0.927, 0.855], [0.250, 0.894, 0.375], [0.250, 0.427, 0.645], [0.250, 0.394, 0.125], [0.750, 0.606, 0.875], [0.750, 0.106, 0.625], [0.750, 0.573, 0.355], [0.750, 0.073, 0.145], [0.502, 0.239, 0.162], [0.502, 0.739, 0.338], [0.487, 0.053, 0.414], [0.487, 0.553, 0.086], [0.483, 0.609, 0.624], [0.483, 0.109, 0.876], [0.250, 0.755, 0.471], [0.250, 0.856, 0.966], [0.250, 0.977, 0.748], [0.250, 0.509, 0.223], [0.250, 0.477, 0.752], [0.250, 0.356, 0.534], [0.250, 0.009, 0.277], [0.250, 0.255, 0.029], [0.017, 0.609, 0.624], [0.017, 0.109, 0.876], [0.013, 0.053, 0.414], [0.013, 0.553, 0.086], [0.998, 0.239, 0.162], [0.998, 0.739, 0.338], [0.002, 0.761, 0.838], [0.002, 0.261, 0.662], [0.987, 0.947, 0.586], [0.987, 0.447, 0.914], [0.983, 0.891, 0.124], [0.983, 0.391, 0.376], [0.750, 0.644, 0.466], [0.750, 0.745, 0.971], [0.750, 0.245, 0.529], [0.750, 0.991, 0.723], [0.750, 0.491, 0.777], [0.750, 0.523, 0.248], [0.750, 0.023, 0.252], [0.750, 0.144, 0.034], [0.517, 0.391, 0.376], [0.517, 0.891, 0.124], [0.513, 0.947, 0.586], [0.513, 0.447, 0.914], [0.498, 0.761, 0.838], [0.498, 0.261, 0.662]], "magmom_total_mub_per_cell": 16.0}


{"formula": "CaMoO3", "functional": "GGA+U", "state": "optimized geometry", "cell": [[-0.980, -4.759, 2.588], [5.463, -1.585, -0.692], [1.896, 3.387, 6.979]], "species": ["Ca", "Ca", "Ca", "Ca", "Mo", "Mo", "Mo", "Mo", "O", "O", "O", "O", "O", "O", "O", "O", "O", "O", "O", "O"], "frac_coords": [[0.010, 0.048, 0.752], [0.514, 0.444, 0.249], [0.486, 0.556, 0.751], [0.990, 0.952, 0.248], [0.500, 0.000, 0.000], [0.000, 0.500, 0.000], [0.000, 0.500, 0.500], [0.500, 0.000, 0.500], [0.288, 0.310, 0.548], [0.810, 0.209, 0.443], [0.193, 0.794, 0.948], [0.698, 0.700, 0.056], [0.712, 0.690, 0.452], [0.190, 0.791, 0.557], [0.807, 0.206, 0.052], [0.302, 0.300, 0.944], [0.898, 0.458, 0.745], [0.398, 0.040, 0.243], [0.602, 0.960, 0.757], [0.102, 0.542, 0.255]], "magmom_total_mub_per_cell": 8.0}


{"formula": "Li4Ti2Nb3Fe3O16", "functional": "GGA+U", "state": "optimized geometry", "cell": [[6.140, 0.040, 0.075], [-3.035, 5.262, -0.015], [0.121, 0.043, 9.827]], "species": ["Li", "Li", "Li", "Li", "Ti", "Ti", "Nb", "Nb", "Nb", "Fe", "Fe", "Fe", "O", "O", "O", "O", "O", "O", "O", "O", "O", "O", "O", "O", "O", "O", "O", "O"], "frac_coords": [[0.332, 0.664, 0.903], [0.007, 0.003, 0.996], [0.021, 0.010, 0.485], [0.673, 0.338, 0.393], [0.288, 0.640, 0.484], [0.662, 0.329, 0.009], [0.639, 0.821, 0.228], [0.819, 0.651, 0.719], [0.814, 0.169, 0.717], [0.172, 0.832, 0.209], [0.173, 0.341, 0.208], [0.339, 0.163, 0.708], [0.161, 0.823, 0.594], [0.052, 0.526, 0.352], [0.363, 0.680, 0.099], [0.980, 0.990, 0.299], [0.993, 0.999, 0.809], [0.157, 0.339, 0.592], [0.494, 0.966, 0.353], [0.494, 0.531, 0.354], [0.343, 0.172, 0.089], [0.678, 0.840, 0.603], [0.529, 0.484, 0.839], [0.536, 0.043, 0.846], [0.684, 0.345, 0.590], [0.811, 0.649, 0.093], [0.975, 0.489, 0.843], [0.812, 0.162, 0.095]], "magmom_total_mub_per_cell": 13.0}


{"formula": "Ca2CoIrO6", "functional": "GGA+U", "state": "optimized geometry", "cell": [[6.809, 1.144, 3.679], [-2.077, 7.493, 0.887], [-5.709, -6.036, 4.455]], "species": ["Ca", "Ca", "Ca", "Ca", "Ca", "Ca", "Ca", "Ca", "Co", "Co", "Co", "Co", "Ir", "Ir", "Ir", "Ir", "O", "O", "O", "O", "O", "O", "O", "O", "O", "O", "O", "O", "O", "O", "O", "O", "O", "O", "O", "O", "O", "O", "O", "O"], "frac_coords": [[0.088, 0.146, 0.249], [0.586, 0.646, 0.249], [0.603, 0.162, 0.250], [0.104, 0.664, 0.252], [0.898, 0.338, 0.749], [0.396, 0.837, 0.749], [0.412, 0.353, 0.750], [0.913, 0.852, 0.752], [0.750, 0.249, 0.000], [0.500, 0.500, 0.501], [0.250, 0.749, 0.000], [0.000, 0.998, 0.500], [0.999, 0.499, 0.499], [0.502, 0.001, 0.501], [0.250, 0.249, 0.999], [0.749, 0.749, 0.999], [0.060, 0.590, 0.745], [0.558, 0.088, 0.744], [0.162, 0.194, 0.756], [0.661, 0.694, 0.756], [0.340, 0.311, 0.244], [0.839, 0.811, 0.244], [0.438, 0.911, 0.256], [0.942, 0.412, 0.255], [0.517, 0.324, 0.047], [0.017, 0.823, 0.047], [0.927, 0.234, 0.453], [0.425, 0.733, 0.452], [0.576, 0.267, 0.548], [0.073, 0.767, 0.547], [0.983, 0.175, 0.952], [0.482, 0.675, 0.953], [0.735, 0.524, 0.447], [0.236, 0.026, 0.450], [0.725, 0.016, 0.053], [0.225, 0.514, 0.053], [0.774, 0.483, 0.945], [0.276, 0.986, 0.948], [0.765, 0.975, 0.550], [0.264, 0.476, 0.553]], "magmom_total_mub_per_cell": 5.0}


{"formula": "FeSO4", "functional": "GGA+U", "state": "optimized geometry", "cell": [[-3.397, 0.443, 3.487], [4.523, -2.284, 4.696], [2.622, 8.284, 1.503]], "species": ["Fe", "Fe", "Fe", "Fe", "S", "S", "S", "S", "O", "O", "O", "O", "O", "O", "O", "O", "O", "O", "O", "O", "O", "O", "O", "O"], "frac_coords": [[0.500, 0.500, 0.500], [0.000, 0.500, 0.000], [0.500, 0.000, 0.500], [0.000, 0.000, 0.000], [0.526, 0.750, 0.177], [0.026, 0.250, 0.323], [0.474, 0.250, 0.823], [0.974, 0.750, 0.677], [0.238, 0.750, 0.120], [0.738, 0.250, 0.380], [0.762, 0.250, 0.880], [0.262, 0.750, 0.620], [0.531, 0.750, 0.348], [0.031, 0.250, 0.152], [0.469, 0.250, 0.652], [0.969, 0.750, 0.848], [0.836, 0.928, 0.626], [0.336, 0.072, 0.874], [0.164, 0.428, 0.374], [0.664, 0.572, 0.126], [0.164, 0.072, 0.374], [0.664, 0.928, 0.126], [0.836, 0.572, 0.626], [0.336, 0.428, 0.874]]}


{"formula": "Mn2P3O11", "functional": "GGA+U", "state": "optimized geometry", "cell": [[-0.314, -6.464, -3.323], [5.397, -4.184, 2.508], [-3.271, -6.114, 5.593]], "species": ["Mn", "Mn", "Mn", "Mn", "P", "P", "P", "P", "P", "P", "O", "O", "O", "O", "O", "O", "O", "O", "O", "O", "O", "O", "O", "O", "O", "O", "O", "O", "O", "O", "O", "O"], "frac_coords": [[0.882, 0.363, 0.457], [0.363, 0.882, 0.957], [0.637, 0.118, 0.043], [0.118, 0.637, 0.543], [0.670, 0.549, 0.786], [0.036, 0.964, 0.750], [0.549, 0.670, 0.286], [0.451, 0.330, 0.714], [0.330, 0.451, 0.214], [0.964, 0.036, 0.250], [0.532, 0.843, 0.129], [0.374, 0.711, 0.437], [0.866, 0.984, 0.907], [0.754, 0.610, 0.320], [0.289, 0.626, 0.063], [0.016, 0.134, 0.593], [0.610, 0.754, 0.820], [0.039, 0.762, 0.725], [0.157, 0.468, 0.371], [0.711, 0.374, 0.937], [0.762, 0.039, 0.225], [0.246, 0.390, 0.680], [0.238, 0.961, 0.775], [0.524, 0.476, 0.250], [0.134, 0.016, 0.093], [0.468, 0.157, 0.871], [0.626, 0.289, 0.563], [0.961, 0.238, 0.275], [0.843, 0.532, 0.629], [0.390, 0.246, 0.180], [0.984, 0.866, 0.407], [0.476, 0.524, 0.750]], "magmom_total_mub_per_cell": 14.0}


{"formula": "LiV2O3F", "functional": "GGA+U", "state": "optimized geometry", "cell": [[-0.389, -1.645, 5.725], [-0.470, -5.883, -1.723], [8.642, -0.796, 0.358]], "species": ["Li", "Li", "Li", "Li", "V", "V", "V", "V", "V", "V", "V", "V", "O", "O", "O", "O", "O", "O", "O", "O", "O", "O", "O", "O", "F", "F", "F", "F"], "frac_coords": [[0.022, 0.750, 0.643], [0.522, 0.750, 0.857], [0.478, 0.250, 0.143], [0.978, 0.250, 0.357], [0.743, 0.250, 0.740], [0.243, 0.250, 0.760], [0.000, 0.000, 0.000], [0.000, 0.500, 0.000], [0.757, 0.750, 0.240], [0.257, 0.750, 0.260], [0.500, 0.000, 0.500], [0.500, 0.500, 0.500], [0.492, 0.471, 0.731], [0.492, 0.029, 0.731], [0.992, 0.471, 0.769], [0.992, 0.029, 0.769], [0.216, 0.250, 0.997], [0.784, 0.750, 0.003], [0.008, 0.971, 0.231], [0.008, 0.529, 0.231], [0.508, 0.971, 0.269], [0.508, 0.529, 0.269], [0.284, 0.750, 0.497], [0.716, 0.250, 0.503], [0.753, 0.250, 0.997], [0.247, 0.750, 0.003], [0.747, 0.750, 0.497], [0.253, 0.250, 0.503]], "magmom_total_mub_per_cell": 16.0}


{"formula": "Rb2Mo3O11", "functional": "GGA+U", "state": "optimized geometry", "cell": [[7.725, 0.000, 0.000], [0.000, 10.117, 0.000], [0.000, 0.000, 15.368]], "species": ["Rb", "Rb", "Rb", "Rb", "Rb", "Rb", "Rb", "Rb", "Mo", "Mo", "Mo", "Mo", "Mo", "Mo", "Mo", "Mo", "Mo", "Mo", "Mo", "Mo", "O", "O", "O", "O", "O", "O", "O", "O", "O", "O", "O", "O", "O", "O", "O", "O", "O", "O", "O", "O", "O", "O", "O", "O", "O", "O", "O", "O", "O", "O", "O", "O", "O", "O", "O", "O", "O", "O", "O", "O", "O", "O", "O", "O"], "frac_coords": [[0.000, 0.231, 0.672], [0.000, 0.731, 0.828], [0.500, 0.269, 0.328], [0.500, 0.769, 0.172], [0.001, 0.476, 0.195], [0.999, 0.976, 0.305], [0.501, 0.024, 0.805], [0.499, 0.524, 0.695], [0.750, 0.657, 0.399], [0.250, 0.157, 0.101], [0.250, 0.843, 0.601], [0.750, 0.343, 0.899], [0.749, 0.843, 0.601], [0.251, 0.343, 0.899], [0.249, 0.657, 0.399], [0.751, 0.157, 0.101], [0.000, 0.574, 0.567], [0.000, 0.074, 0.933], [0.500, 0.926, 0.433], [0.500, 0.426, 0.067], [0.000, 0.801, 0.595], [0.000, 0.301, 0.905], [0.500, 0.699, 0.405], [0.500, 0.199, 0.095], [0.000, 0.415, 0.523], [0.000, 0.915, 0.977], [0.500, 0.085, 0.477], [0.500, 0.585, 0.023], [0.000, 0.544, 0.679], [0.000, 0.044, 0.821], [0.500, 0.956, 0.321], [0.500, 0.456, 0.179], [0.763, 0.636, 0.545], [0.237, 0.136, 0.955], [0.263, 0.864, 0.455], [0.737, 0.364, 0.045], [0.737, 0.864, 0.455], [0.263, 0.364, 0.045], [0.237, 0.636, 0.545], [0.763, 0.136, 0.955], [0.724, 0.488, 0.383], [0.276, 0.988, 0.117], [0.224, 0.012, 0.617], [0.776, 0.512, 0.883], [0.776, 0.012, 0.617], [0.224, 0.512, 0.883], [0.276, 0.488, 0.383], [0.724, 0.988, 0.117], [0.000, 0.660, 0.430], [0.000, 0.160, 0.070], [0.500, 0.840, 0.570], [0.500, 0.340, 0.930], [0.794, 0.717, 0.293], [0.206, 0.217, 0.207], [0.294, 0.783, 0.707], [0.706, 0.283, 0.793], [0.706, 0.783, 0.707], [0.294, 0.283, 0.793], [0.206, 0.717, 0.293], [0.794, 0.217, 0.207], [0.869, 0.679, 0.070], [0.131, 0.179, 0.430], [0.369, 0.821, 0.930], [0.631, 0.321, 0.570]], "magmom_total_mub_per_cell": 8.0}


no.,formation enthalpy at 0 K (eV/atom)
1,-2.21
2,-3.17
3,-2.61
4,-2.63
5,-2.13
6,-1.86
7,-2.37
8,-2.63
9,-1.81